{
  "formula": "NdHCO4",
  "functional": "PBE",
  "state": "relaxed",
  "space_group": "No. 19",
  "lattice": [[4.9912, 0.0000, 0.0000], [0.0000, 7.3370, 0.0000], [0.0000, 0.0000, 8.6636]],
  "species": ["Nd", "Nd", "Nd", "Nd", "H", "H", "H", "H", "C", "C", "C", "C", "O", "O", "O", "O", "O", "O", "O", "O", "O", "O", "O", "O", "O", "O", "O", "O"],
  "fractional_positions": [[0.0015, 0.1080, 0.1636], [0.4985, 0.8920, 0.6636], [0.5015, 0.3920, 0.8364], [0.9985, 0.6080, 0.3364], [0.1048, 0.7472, 0.0268], [0.3952, 0.2528, 0.5268], [0.6048, 0.7528, 0.9732], [0.8952, 0.2472, 0.4732], [0.0012, 0.5538, 0.6762], [0.4988, 0.4462, 0.1762], [0.5012, 0.9462, 0.3238], [0.9988, 0.0538, 0.8238], [0.0006, 0.9572, 0.6990], [0.0083, 0.2899, 0.3884], [0.2220, 0.0976, 0.8911], [0.2278, 0.5984, 0.6126], [0.2722, 0.4016, 0.1126], [0.2780, 0.9024, 0.3911], [0.4917, 0.7101, 0.8884], [0.4994, 0.0428, 0.1990], [0.5006, 0.5428, 0.3010], [0.5083, 0.2101, 0.6116], [0.7220, 0.4024, 0.1089], [0.7278, 0.9016, 0.3874], [0.7722, 0.0984, 0.8874], [0.7780, 0.5976, 0.6089], [0.9917, 0.7899, 0.1116], [0.9994, 0.4572, 0.8010]]
}



{
  "formula": "NdPH5CO7",
  "functional": "PBE",
  "state": "relaxed",
  "space_group": "No. 2",
  "lattice": [[6.7155, 0.0000, 0.0000], [0.0153, 7.1074, 0.0000], [0.8679, 2.8806, 7.3137]],
  "species": ["Nd", "Nd", "P", "P", "H", "H", "H", "H", "H", "H", "H", "H", "H", "H", "C", "C", "O", "O", "O", "O", "O", "O", "O", "O", "O", "O", "O", "O", "O", "O"],
  "fractional_positions": [[0.1297, 0.2225, 0.0658], [0.8703, 0.7775, 0.9342], [0.3249, 0.7481, 0.0180], [0.6751, 0.2519, 0.9820], [0.1689, 0.5230, 0.6729], [0.2833, 0.3328, 0.6417], [0.3708, 0.7074, 0.1971], [0.4718, 0.2547, 0.3909], [0.4751, 0.8698, 0.4138], [0.5249, 0.1302, 0.5862], [0.5282, 0.7453, 0.6091], [0.6292, 0.2926, 0.8029], [0.7167, 0.6672, 0.3583], [0.8311, 0.4770, 0.3271], [0.0628, 0.9091, 0.4983], [0.9372, 0.0909, 0.5017], [0.0554, 0.7579, 0.6477], [0.1631, 0.9242, 0.3490], [0.1812, 0.5748, 0.0246], [0.1977, 0.9398, 0.9634], [0.2145, 0.3841, 0.7333], [0.4168, 0.2043, 0.5199], [0.4779, 0.2278, 0.1053], [0.5221, 0.7722, 0.8947], [0.5832, 0.7957, 0.4801], [0.7855, 0.6159, 0.2667], [0.8023, 0.0602, 0.0366], [0.8188, 0.4252, 0.9754], [0.8369, 0.0758, 0.6510], [0.9446, 0.2421, 0.3523]]
}



{
  "formula": "NdP2H2CO6",
  "functional": "PBE",
  "state": "relaxed",
  "space_group": "No. 12",
  "lattice": [[4.1918, -7.1530, 0.0000], [4.1918, 7.1530, 0.0000], [-1.9134, 0.0000, 5.0167]],
  "species": ["Nd", "Nd", "P", "P", "P", "P", "H", "H", "H", "H", "C", "C", "O", "O", "O", "O", "O", "O", "O", "O", "O", "O", "O", "O"],
  "fractional_positions": [[0.2290, 0.7710, 0.0000], [0.7710, 0.2290, 0.0000], [0.1436, 0.3669, 0.6265], [0.3669, 0.1436, 0.6265], [0.6331, 0.8564, 0.3735], [0.8564, 0.6331, 0.3735], [0.0983, 0.0983, 0.7706], [0.3187, 0.3187, 0.9750], [0.6813, 0.6813, 0.0250], [0.9017, 0.9017, 0.2294], [0.2289, 0.2289, 0.7668], [0.7711, 0.7711, 0.2332], [0.0205, 0.3944, 0.7969], [0.0299, 0.2644, 0.3315], [0.2644, 0.0299, 0.3315], [0.3176, 0.5806, 0.6938], [0.3944, 0.0205, 0.7969], [0.4194, 0.6824, 0.3062], [0.5806, 0.3176, 0.6938], [0.6056, 0.9795, 0.2031], [0.6824, 0.4194, 0.3062], [0.7356, 0.9701, 0.6685], [0.9701, 0.7356, 0.6685], [0.9795, 0.6056, 0.2031]]
}



{
  "formula": "NdH3CSO7",
  "functional": "PBE",
  "state": "relaxed",
  "space_group": "No. 78",
  "lattice": [[7.0264, 0.0000, 0.0000], [0.0000, 7.0264, 0.0000], [0.0000, 0.0000, 11.9293]],
  "species": ["Nd", "Nd", "Nd", "Nd", "H", "H", "H", "H", "H", "H", "H", "H", "H", "H", "H", "H", "C", "C", "C", "C", "S", "S", "S", "S", "O", "O", "O", "O", "O", "O", "O", "O", "O", "O", "O", "O", "O", "O", "O", "O", "O", "O", "O", "O", "O", "O", "O", "O", "O", "O", "O", "O"],
  "fractional_positions": [[0.1152, 0.3717, 0.0000], [0.3717, 0.8848, 0.2500], [0.6283, 0.1152, 0.7500], [0.8848, 0.6283, 0.5000], [0.0313, 0.8676, 0.9609], [0.1324, 0.0313, 0.7109], [0.1547, 0.5964, 0.7778], [0.3680, 0.5398, 0.8096], [0.4036, 0.1547, 0.5278], [0.4602, 0.3680, 0.5596], [0.5398, 0.6320, 0.0596], [0.5964, 0.8453, 0.0278], [0.6320, 0.4602, 0.3096], [0.8453, 0.4036, 0.2778], [0.8676, 0.9687, 0.2109], [0.9687, 0.1324, 0.4609], [0.1161, 0.8700, 0.0385], [0.1300, 0.1161, 0.7885], [0.8700, 0.8839, 0.2885], [0.8839, 0.1300, 0.5385], [0.2312, 0.3877, 0.3071], [0.3877, 0.7688, 0.5571], [0.6123, 0.2312, 0.0571], [0.7688, 0.6123, 0.8071], [0.0304, 0.8326, 0.3295], [0.1038, 0.3776, 0.2077], [0.1168, 0.4323, 0.4073], [0.1575, 0.7140, 0.0856], [0.1674, 0.0304, 0.0795], [0.2022, 0.6752, 0.5761], [0.2408, 0.5663, 0.8403], [0.2860, 0.1575, 0.8356], [0.3248, 0.2022, 0.3261], [0.3776, 0.8962, 0.4577], [0.3792, 0.5391, 0.2898], [0.4323, 0.8832, 0.6573], [0.4337, 0.2408, 0.5903], [0.4609, 0.3792, 0.0398], [0.5391, 0.6208, 0.5398], [0.5663, 0.7592, 0.0903], [0.5677, 0.1168, 0.1573], [0.6208, 0.4609, 0.7898], [0.6224, 0.1038, 0.9577], [0.6752, 0.7978, 0.8261], [0.7140, 0.8425, 0.3356], [0.7592, 0.4337, 0.3403], [0.7978, 0.3248, 0.0761], [0.8326, 0.9696, 0.5795], [0.8425, 0.2860, 0.5856], [0.8832, 0.5677, 0.9073], [0.8962, 0.6224, 0.7077], [0.9696, 0.1674, 0.8295]]
}



{
  "formula": "NdH3CSO7",
  "functional": "PBE",
  "state": "relaxed",
  "space_group": "No. 76",
  "lattice": [[7.0512, 0.0000, 0.0000], [0.0000, 7.0512, 0.0000], [0.0000, 0.0000, 11.9353]],
  "species": ["Nd", "Nd", "Nd", "Nd", "H", "H", "H", "H", "H", "H", "H", "H", "H", "H", "H", "H", "C", "C", "C", "C", "S", "S", "S", "S", "O", "O", "O", "O", "O", "O", "O", "O", "O", "O", "O", "O", "O", "O", "O", "O", "O", "O", "O", "O", "O", "O", "O", "O", "O", "O", "O", "O"],
  "fractional_positions": [[0.1131, 0.6291, 0.0000], [0.3709, 0.1131, 0.2500], [0.6291, 0.8869, 0.7500], [0.8869, 0.3709, 0.5000], [0.0243, 0.1377, 0.9637], [0.1377, 0.9757, 0.7137], [0.1762, 0.3946, 0.7858], [0.3843, 0.4594, 0.8223], [0.3946, 0.8238, 0.5358], [0.4594, 0.6157, 0.5723], [0.5406, 0.3843, 0.0723], [0.6054, 0.1762, 0.0358], [0.6157, 0.5406, 0.3223], [0.8238, 0.6054, 0.2858], [0.8623, 0.0243, 0.2137], [0.9757, 0.8623, 0.4637], [0.1153, 0.1334, 0.0388], [0.1334, 0.8847, 0.7888], [0.8666, 0.1153, 0.2888], [0.8847, 0.8666, 0.5388], [0.2304, 0.6114, 0.3040], [0.3886, 0.2304, 0.5540], [0.6114, 0.7696, 0.0540], [0.7696, 0.3886, 0.8040], [0.0270, 0.1667, 0.3284], [0.1068, 0.6272, 0.2037], [0.1116, 0.5645, 0.4021], [0.1621, 0.2887, 0.0851], [0.1667, 0.9730, 0.0784], [0.2064, 0.3264, 0.5766], [0.2555, 0.4303, 0.8499], [0.2887, 0.8379, 0.8351], [0.3264, 0.7936, 0.3266], [0.3728, 0.1068, 0.4537], [0.3769, 0.4595, 0.2865], [0.4303, 0.7445, 0.5999], [0.4355, 0.1116, 0.6521], [0.4595, 0.6231, 0.0365], [0.5405, 0.3769, 0.5365], [0.5645, 0.8884, 0.1521], [0.5697, 0.2555, 0.0999], [0.6231, 0.5405, 0.7865], [0.6272, 0.8932, 0.9537], [0.6736, 0.2064, 0.8266], [0.7113, 0.1621, 0.3351], [0.7445, 0.5697, 0.3499], [0.7936, 0.6736, 0.0766], [0.8333, 0.0270, 0.5784], [0.8379, 0.7113, 0.5851], [0.8884, 0.4355, 0.9021], [0.8932, 0.3728, 0.7037], [0.9730, 0.8333, 0.8284]]
}



{
  "formula": "NpP2H2CO8",
  "functional": "PBE",
  "state": "relaxed",
  "space_group": "No. 33",
  "lattice": [[8.7429, 0.0000, 0.0000], [0.0000, 9.3846, 0.0000], [0.0000, 0.0000, 9.0543]],
  "species": ["Np", "Np", "Np", "Np", "P", "P", "P", "P", "P", "P", "P", "P", "H", "H", "H", "H", "H", "H", "H", "H", "C", "C", "C", "C", "O", "O", "O", "O", "O", "O", "O", "O", "O", "O", "O", "O", "O", "O", "O", "O", "O", "O", "O", "O", "O", "O", "O", "O", "O", "O", "O", "O", "O", "O", "O", "O"],
  "fractional_positions": [[0.2370, 0.0165, 0.0000], [0.2630, 0.5165, 0.5000], [0.7370, 0.4835, 0.0000], [0.7630, 0.9835, 0.5000], [0.1141, 0.3985, 0.8624], [0.1629, 0.8897, 0.6225], [0.3371, 0.3897, 0.1225], [0.3859, 0.8985, 0.3624], [0.6141, 0.1015, 0.8624], [0.6629, 0.6103, 0.6225], [0.8371, 0.1103, 0.1225], [0.8859, 0.6015, 0.3624], [0.1105, 0.5273, 0.0920], [0.2433, 0.0937, 0.4754], [0.2567, 0.5937, 0.9754], [0.3895, 0.0273, 0.5920], [0.6105, 0.9727, 0.0920], [0.7433, 0.4063, 0.4754], [0.7567, 0.9063, 0.9754], [0.8895, 0.4727, 0.5920], [0.2027, 0.4955, 0.0156], [0.2973, 0.9955, 0.5156], [0.7027, 0.0045, 0.0156], [0.7973, 0.5045, 0.5156], [0.0046, 0.8840, 0.5409], [0.0633, 0.6051, 0.4005], [0.1008, 0.8896, 0.0856], [0.1347, 0.4851, 0.7199], [0.1398, 0.9632, 0.7723], [0.1529, 0.3540, 0.4530], [0.1696, 0.2462, 0.8483], [0.2235, 0.7373, 0.6354], [0.2765, 0.2373, 0.1354], [0.3304, 0.7462, 0.3483], [0.3471, 0.8540, 0.9530], [0.3602, 0.4632, 0.2723], [0.3653, 0.9851, 0.2199], [0.3992, 0.3896, 0.5856], [0.4367, 0.1051, 0.9005], [0.4954, 0.3840, 0.0409], [0.5046, 0.6160, 0.5409], [0.5633, 0.8949, 0.4005], [0.6008, 0.6104, 0.0856], [0.6347, 0.0149, 0.7199], [0.6398, 0.5368, 0.7723], [0.6529, 0.1460, 0.4530], [0.6696, 0.2538, 0.8483], [0.7235, 0.7627, 0.6354], [0.7765, 0.2627, 0.1354], [0.8304, 0.7538, 0.3483], [0.8471, 0.6460, 0.9530], [0.8602, 0.0368, 0.2723], [0.8653, 0.5149, 0.2199], [0.8992, 0.1104, 0.5856], [0.9367, 0.3949, 0.9005], [0.9954, 0.1160, 0.0409]]
}



{
  "formula": "NpPH3CO5",
  "functional": "PBE",
  "state": "relaxed",
  "space_group": "No. 2",
  "lattice": [[6.7016, 0.0000, 0.0000], [-0.7221, 6.6850, 0.0000], [-1.0914, -0.1733, 7.0501]],
  "species": ["Np", "Np", "P", "P", "H", "H", "H", "H", "H", "H", "C", "C", "O", "O", "O", "O", "O", "O", "O", "O", "O", "O"],
  "fractional_positions": [[0.0191, 0.3540, 0.2517], [0.9809, 0.6460, 0.7483], [0.0853, 0.1924, 0.7589], [0.9147, 0.8076, 0.2411], [0.3917, 0.0931, 0.6721], [0.3974, 0.0967, 0.9221], [0.4347, 0.3286, 0.8011], [0.5653, 0.6714, 0.1989], [0.6026, 0.9033, 0.0779], [0.6083, 0.9069, 0.3279], [0.3534, 0.1773, 0.7918], [0.6466, 0.8227, 0.2082], [0.0224, 0.3197, 0.5821], [0.0284, 0.3207, 0.9221], [0.0333, 0.0168, 0.2564], [0.2510, 0.6931, 0.7907], [0.2883, 0.4067, 0.2931], [0.7117, 0.5933, 0.7069], [0.7490, 0.3069, 0.2093], [0.9667, 0.9832, 0.7436], [0.9716, 0.6793, 0.0779], [0.9776, 0.6803, 0.4179]]
}



{
  "formula": "NpUP4H4C2O16",
  "functional": "PBE",
  "state": "relaxed",
  "space_group": "No. 11",
  "lattice": [[5.6201, 0.0000, 0.0000], [0.0000, 19.9896, 0.0000], [-0.9723, 0.0000, 7.0012]],
  "species": ["Np", "Np", "U", "U", "P", "P", "P", "P", "P", "P", "P", "P", "H", "H", "H", "H", "H", "H", "H", "H", "C", "C", "C", "C", "O", "O", "O", "O", "O", "O", "O", "O", "O", "O", "O", "O", "O", "O", "O", "O", "O", "O", "O", "O", "O", "O", "O", "O", "O", "O", "O", "O", "O", "O", "O", "O"],
  "fractional_positions": [[0.1921, 0.2500, 0.1515], [0.8079, 0.7500, 0.8485], [0.0000, 0.0000, 0.5000], [0.0000, 0.5000, 0.5000], [0.3021, 0.6347, 0.7862], [0.3021, 0.8653, 0.7862], [0.4088, 0.1249, 0.8185], [0.4088, 0.3751, 0.8185], [0.5912, 0.6249, 0.1815], [0.5912, 0.8751, 0.1815], [0.6979, 0.1347, 0.2138], [0.6979, 0.3653, 0.2138], [0.2853, 0.5511, 0.0268], [0.2853, 0.9489, 0.0268], [0.4463, 0.0488, 0.0854], [0.4463, 0.4512, 0.0854], [0.5537, 0.5488, 0.9146], [0.5537, 0.9512, 0.9146], [0.7147, 0.0511, 0.9732], [0.7147, 0.4489, 0.9732], [0.4286, 0.5817, 0.9782], [0.4286, 0.9183, 0.9782], [0.5714, 0.0817, 0.0218], [0.5714, 0.4183, 0.0218], [0.0590, 0.7500, 0.1628], [0.0889, 0.6740, 0.8538], [0.0889, 0.8260, 0.8538], [0.1578, 0.2500, 0.4021], [0.1868, 0.0115, 0.3135], [0.1868, 0.4885, 0.3135], [0.2169, 0.5907, 0.6139], [0.2169, 0.9093, 0.6139], [0.2432, 0.0727, 0.7090], [0.2432, 0.4273, 0.7090], [0.2624, 0.1812, 0.9102], [0.2624, 0.3188, 0.9102], [0.4205, 0.6601, 0.2980], [0.4205, 0.8399, 0.2980], [0.4965, 0.1825, 0.2573], [0.4965, 0.3175, 0.2573], [0.5035, 0.6825, 0.7427], [0.5035, 0.8175, 0.7427], [0.5795, 0.1601, 0.7020], [0.5795, 0.3399, 0.7020], [0.7376, 0.6812, 0.0898], [0.7376, 0.8188, 0.0898], [0.7568, 0.5727, 0.2910], [0.7568, 0.9273, 0.2910], [0.7831, 0.0907, 0.3861], [0.7831, 0.4093, 0.3861], [0.8132, 0.5115, 0.6865], [0.8132, 0.9885, 0.6865], [0.8422, 0.7500, 0.5979], [0.9111, 0.1740, 0.1462], [0.9111, 0.3260, 0.1462], [0.9410, 0.2500, 0.8372]]
}



Number 1: size of the total moment 0.000 μB/atom, DFT formation energy -2.542 eV/atom. Number 2: size of the total moment 0.000 μB/atom, DFT formation energy -1.997 eV/atom. Number 3: size of the total moment 0.083 μB/atom, DFT formation energy -2.150 eV/atom. Number 4: size of the total moment 0.000 μB/atom, DFT formation energy -2.023 eV/atom. Number 5: size of the total moment 0.000 μB/atom, DFT formation energy -2.024 eV/atom. Number 6: size of the total moment 0.071 μB/atom, DFT formation energy -1.905 eV/atom. Number 7: size of the total moment 0.091 μB/atom, DFT formation energy -1.993 eV/atom. Number 8: size of the total moment 0.107 μB/atom, DFT formation energy -1.947 eV/atom.